[1]
SrCa | r²SCAN | optimized geometry

Output
- E_form: 0.040 eV/atom
- Calculated total energy: -22.10 eV per formula unit
- Excess energy over the best structure of this formula in the dataset: 0.00 eV/f.u.
- Spin magnetization: 0.5 μB/cell

Cell lengths 4.125, 4.125, 5.876 Å; angles 90.00, 90.00, 92.56 degrees
Atoms (fractional coordinates):
Sr 0.500 0.500 0.500
Ca 0.000 0.000 0.000

[2]
SrCa | r²SCAN | optimized geometry

Output
- E_form: 0.051 eV/atom
- Calculated total energy: -22.08 eV per formula unit
- Excess energy over the best structure of this formula in the dataset: 0.02 eV/f.u.
- Spin magnetization: 0.3 μB/cell

Cell lengths 7.146, 7.146, 7.146 Å; angles 33.63, 33.63, 33.63 degrees
Atoms (fractional coordinates):
Ca 0.000 0.000 0.000
Sr 0.500 0.500 0.500

[3]
SrCa | r²SCAN | optimized geometry

Output
- E_form: 0.049 eV/atom
- Calculated total energy: -22.09 eV per formula unit
- Excess energy over the best structure of this formula in the dataset: 0.02 eV/f.u.
- Spin magnetization: 0.1 μB/cell

Cell lengths 4.128, 4.128, 6.789 Å; angles 90.00, 90.00, 120.00 degrees
Atoms (fractional coordinates):
Sr 0.667 0.333 0.500
Ca 0.000 0.000 0.000

[4]
SrCa3 | r²SCAN | optimized geometry

Output
- E_form: 0.001 eV/atom
- Calculated total energy: -36.26 eV per formula unit
- Excess energy over the best structure of this formula in the dataset: 0.00 eV/f.u.
- Spin magnetization: 0.1 μB/cell

Cell lengths 8.088, 8.088, 6.588 Å; angles 90.00, 90.00, 120.00 degrees
Atoms (fractional coordinates):
Ca 0.836 0.164 0.750
Ca 0.164 0.836 0.250
Ca 0.671 0.836 0.250
Ca 0.329 0.164 0.750
Ca 0.836 0.671 0.750
Ca 0.164 0.329 0.250
Sr 0.667 0.333 0.250
Sr 0.333 0.667 0.750

[5]
SrCa3 | r²SCAN | optimized geometry

Output
- E_form: 0.031 eV/atom
- Calculated total energy: -36.14 eV per formula unit
- Excess energy over the best structure of this formula in the dataset: 0.12 eV/f.u.
- Spin magnetization: 0.0 μB/cell

Cell lengths 5.717, 5.717, 5.717 Å; angles 90.00, 90.00, 90.00 degrees
Atoms (fractional coordinates):
Ca 0.500 0.500 0.000
Ca 0.500 0.000 0.500
Ca 0.000 0.500 0.500
Sr 0.000 0.000 0.000

[6]
SrCa3 | r²SCAN | optimized geometry

Output
- E_form: 0.030 eV/atom
- Calculated total energy: -36.14 eV per formula unit
- Excess energy over the best structure of this formula in the dataset: 0.12 eV/f.u.
- Spin magnetization: 0.0 μB/cell

Cell lengths 6.965, 6.965, 6.965 Å; angles 131.40, 131.40, 71.18 degrees
Atoms (fractional coordinates):
Ca 0.750 0.250 0.500
Ca 0.250 0.750 0.500
Ca 0.500 0.500 0.000
Sr 0.000 0.000 0.000